A relaxed Li2FeP2S6 crystal. Source: the Materials Project, functional PBE.

Unit cell a=5.856 b=5.856 c=6.565 alpha=90.00 beta=90.00 gamma=120.00
Fractional coordinates of all 11 atoms:
Li 0.000 0.000 0.000
Li 0.000 0.000 0.500
Fe 0.667 0.333 0.000
P 0.333 0.667 0.166
P 0.333 0.667 0.834
S 0.364 0.024 0.232
S 0.364 0.340 0.768
S 0.660 0.024 0.768
S 0.660 0.636 0.232
S 0.976 0.340 0.232
S 0.976 0.636 0.768

Properties
Total magnetization (μB/f.u.): 0.0
Polymorph energy (0 for the lowest one) (meV per atom): 13
Total energy after the MP2020 corrections (eV/atom): -5.187
Volume (Å³/cell): 195.0
ΔE_f (eV per atom): -0.83

***

A relaxed LiFeRh2 crystal. Source: the Materials Project, functional PBE.

Unit cell a=4.198 b=4.198 c=4.198 alpha=60.00 beta=60.00 gamma=60.00
Fractional coordinates of all 4 atoms:
Li 0.000 0.000 0.000
Fe 0.500 0.500 0.500
Rh 0.250 0.250 0.250
Rh 0.750 0.750 0.750

Properties
Volume (Å³/cell): 52.3
ΔE_f (eV per atom): -0.12

***

A relaxed Li5FeS4 crystal. Source: the Materials Project, functional PBE.

Unit cell a=7.662 b=7.662 c=7.662 alpha=151.99 beta=127.75 gamma=60.33
Fractional coordinates of all 10 atoms:
Li 0.000 0.000 0.000
Li 0.106 0.324 0.782
Li 0.459 0.676 0.782
Li 0.541 0.324 0.218
Li 0.894 0.676 0.218
Fe 0.500 0.000 0.500
S 0.253 0.500 0.753
S 0.296 0.796 0.500
S 0.704 0.204 0.500
S 0.747 0.500 0.247

Properties
Total magnetization (μB/f.u.): 4.5
Polymorph energy (0 for the lowest one) (meV per atom): 109
Total energy after the MP2020 corrections (eV/atom): -4.614
Volume (Å³/cell): 165.8
ΔE_f (eV per atom): -1.16